No. 1
Tl2PO4 after structural relaxation. Source: the Materials Project database, functional PBE-GGA.

* E_form: -183.3 kJ per mole of atoms
* energy above the lowest structure with this stoichiometry: 0.0 meV/atom
* ρ: 5573 kg/m³
* size of the total moment: 0.00 μB/cell

a = 5.505 Å, b = 6.393 Å, c = 17.383 Å
α = 90.00°, β = 101.04°, γ = 90.00°
Element x y z (fractional)
Tl: 0.000 0.074 0.000
Tl: 0.000 0.926 0.500
Tl: 0.212 0.400 0.851
Tl: 0.212 0.600 0.351
Tl: 0.447 0.420 0.584
Tl: 0.447 0.580 0.084
Tl: 0.575 0.152 0.271
Tl: 0.575 0.848 0.771
P: 0.008 0.089 0.214
P: 0.008 0.911 0.714
P: 0.770 0.410 0.448
P: 0.770 0.590 0.948
O: 0.057 0.423 0.465
O: 0.057 0.577 0.965
O: 0.154 0.008 0.154
O: 0.154 0.992 0.654
O: 0.205 0.177 0.287
O: 0.205 0.823 0.787
O: 0.648 0.390 0.975
O: 0.648 0.610 0.475
O: 0.675 0.214 0.486
O: 0.675 0.786 0.986
O: 0.685 0.405 0.355
O: 0.685 0.595 0.855
O: 0.816 0.268 0.186
O: 0.816 0.732 0.686
O: 0.850 0.082 0.750
O: 0.850 0.918 0.250



No. 2
TlZnP3O9 after structural relaxation. Source: the Materials Project database, functional PBE-GGA.

* E_form: -233.1 kJ per mole of atoms
* ρ: 4040 kg/m³
* size of the total moment: 0.00 μB/cell

a = 5.226 Å, b = 12.119 Å, c = 13.155 Å
α = 90.00°, β = 90.00°, γ = 90.00°
Element x y z (fractional)
Tl: 0.079 0.141 0.250
Tl: 0.079 0.359 0.750
Tl: 0.921 0.641 0.250
Tl: 0.921 0.859 0.750
Zn: 0.000 0.000 0.000
Zn: 0.000 0.000 0.500
Zn: 0.000 0.500 0.000
Zn: 0.000 0.500 0.500
P: 0.250 0.750 0.000
P: 0.250 0.750 0.500
P: 0.490 0.084 0.635
P: 0.490 0.084 0.865
P: 0.490 0.416 0.135
P: 0.490 0.416 0.365
P: 0.510 0.584 0.635
P: 0.510 0.584 0.865
P: 0.510 0.916 0.135
P: 0.510 0.916 0.365
P: 0.750 0.250 0.000
P: 0.750 0.250 0.500
O: 0.105 0.658 0.049
O: 0.105 0.658 0.451
O: 0.105 0.842 0.549
O: 0.105 0.842 0.951
O: 0.208 0.063 0.626
O: 0.208 0.063 0.874
O: 0.208 0.437 0.126
O: 0.208 0.437 0.374
O: 0.323 0.003 0.101
O: 0.323 0.003 0.399
O: 0.323 0.497 0.601
O: 0.323 0.497 0.899
O: 0.443 0.621 0.750
O: 0.443 0.879 0.250
O: 0.449 0.702 0.583
O: 0.449 0.702 0.917
O: 0.449 0.798 0.083
O: 0.449 0.798 0.417
O: 0.551 0.202 0.583
O: 0.551 0.202 0.917
O: 0.551 0.298 0.083
O: 0.551 0.298 0.417
O: 0.557 0.121 0.750
O: 0.557 0.379 0.250
O: 0.677 0.503 0.101
O: 0.677 0.503 0.399
O: 0.677 0.997 0.601
O: 0.677 0.997 0.899
O: 0.792 0.563 0.626
O: 0.792 0.563 0.874
O: 0.792 0.937 0.126
O: 0.792 0.937 0.374
O: 0.895 0.158 0.049
O: 0.895 0.158 0.451
O: 0.895 0.342 0.549
O: 0.895 0.342 0.951



No. 3
TmP3O9 after structural relaxation. Source: the Materials Project database, functional PBE-GGA.

* E_form: -292.1 kJ per mole of atoms
* ρ: 3533 kg/m³
* size of the total moment: 0.00 μB/cell

a = 11.341 Å, b = 20.102 Å, c = 10.131 Å
α = 90.00°, β = 97.67°, γ = 90.00°
Element x y z (fractional)
Tm: 0.000 0.000 0.000
Tm: 0.000 0.500 0.500
Tm: 0.001 0.154 0.482
Tm: 0.001 0.346 0.982
Tm: 0.497 0.677 0.028
Tm: 0.497 0.823 0.528
Tm: 0.500 0.000 0.000
Tm: 0.500 0.500 0.500
Tm: 0.503 0.177 0.472
Tm: 0.503 0.323 0.972
Tm: 0.999 0.654 0.018
Tm: 0.999 0.846 0.518
P: 0.132 0.722 0.324
P: 0.132 0.778 0.824
P: 0.145 0.118 0.808
P: 0.145 0.382 0.308
P: 0.180 0.040 0.318
P: 0.180 0.460 0.818
P: 0.239 0.228 0.991
P: 0.239 0.272 0.491
P: 0.246 0.611 0.476
P: 0.246 0.889 0.976
P: 0.272 0.552 0.034
P: 0.272 0.948 0.534
P: 0.324 0.708 0.698
P: 0.324 0.792 0.198
P: 0.347 0.125 0.177
P: 0.347 0.375 0.677
P: 0.361 0.067 0.692
P: 0.361 0.433 0.192
P: 0.639 0.567 0.808
P: 0.639 0.933 0.308
P: 0.653 0.625 0.323
P: 0.653 0.875 0.823
P: 0.676 0.208 0.802
P: 0.676 0.292 0.302
P: 0.728 0.052 0.466
P: 0.728 0.448 0.966
P: 0.754 0.111 0.024
P: 0.754 0.389 0.524
P: 0.761 0.728 0.509
P: 0.761 0.772 0.009
P: 0.820 0.540 0.182
P: 0.820 0.960 0.682
P: 0.855 0.618 0.692
P: 0.855 0.882 0.192
P: 0.868 0.222 0.176
P: 0.868 0.278 0.676
O: 0.042 0.685 0.230
O: 0.042 0.815 0.730
O: 0.053 0.121 0.688
O: 0.053 0.379 0.188
O: 0.092 0.741 0.939
O: 0.092 0.759 0.439
O: 0.106 0.071 0.414
O: 0.106 0.429 0.914
O: 0.118 0.013 0.190
O: 0.118 0.487 0.690
O: 0.122 0.584 0.472
O: 0.122 0.916 0.972
O: 0.124 0.068 0.912
O: 0.124 0.432 0.412
O: 0.158 0.192 0.870
O: 0.158 0.308 0.370
O: 0.160 0.592 0.041
O: 0.160 0.908 0.541
O: 0.165 0.214 0.525
O: 0.165 0.286 0.025
O: 0.196 0.727 0.735
O: 0.196 0.773 0.235
O: 0.243 0.173 0.107
O: 0.243 0.327 0.607
O: 0.243 0.674 0.378
O: 0.243 0.826 0.878
O: 0.265 0.516 0.892
O: 0.265 0.984 0.392
O: 0.272 0.007 0.640
O: 0.272 0.493 0.140
O: 0.276 0.111 0.768
O: 0.276 0.389 0.268
O: 0.278 0.094 0.290
O: 0.278 0.406 0.790
O: 0.289 0.640 0.623
O: 0.289 0.860 0.123
O: 0.344 0.566 0.444
O: 0.344 0.934 0.944
O: 0.363 0.242 0.962
O: 0.363 0.258 0.462
O: 0.364 0.743 0.102
O: 0.364 0.757 0.602
O: 0.381 0.074 0.081
O: 0.381 0.426 0.581
O: 0.389 0.588 0.055
O: 0.389 0.912 0.555
O: 0.394 0.105 0.576
O: 0.394 0.395 0.076
O: 0.405 0.693 0.824
O: 0.405 0.807 0.324
O: 0.443 0.166 0.254
O: 0.443 0.334 0.754
O: 0.459 0.041 0.795
O: 0.459 0.459 0.295
O: 0.541 0.541 0.705
O: 0.541 0.959 0.205
O: 0.557 0.666 0.246
O: 0.557 0.834 0.746
O: 0.595 0.193 0.676
O: 0.595 0.307 0.176
O: 0.606 0.605 0.924
O: 0.606 0.895 0.424
O: 0.611 0.088 0.445
O: 0.611 0.412 0.945
O: 0.619 0.574 0.419
O: 0.619 0.926 0.919
O: 0.636 0.243 0.398
O: 0.636 0.257 0.898
O: 0.637 0.742 0.538
O: 0.637 0.758 0.038
O: 0.656 0.066 0.056
O: 0.656 0.434 0.556
O: 0.711 0.140 0.877
O: 0.711 0.360 0.377
O: 0.722 0.594 0.210
O: 0.722 0.906 0.710
O: 0.724 0.611 0.732
O: 0.724 0.889 0.232
O: 0.728 0.507 0.860
O: 0.728 0.993 0.360
O: 0.735 0.016 0.608
O: 0.735 0.484 0.108
O: 0.757 0.174 0.122
O: 0.757 0.326 0.622
O: 0.757 0.673 0.393
O: 0.757 0.827 0.893
O: 0.804 0.227 0.765
O: 0.804 0.273 0.265
O: 0.835 0.714 0.975
O: 0.835 0.786 0.475
O: 0.840 0.092 0.459
O: 0.840 0.408 0.959
O: 0.842 0.692 0.630
O: 0.842 0.808 0.130
O: 0.876 0.568 0.588
O: 0.876 0.932 0.088
O: 0.878 0.084 0.028
O: 0.878 0.416 0.528
O: 0.882 0.513 0.310
O: 0.882 0.987 0.810
O: 0.894 0.571 0.086
O: 0.894 0.929 0.586
O: 0.908 0.241 0.561
O: 0.908 0.259 0.061
O: 0.947 0.621 0.812
O: 0.947 0.879 0.312
O: 0.958 0.185 0.270
O: 0.958 0.315 0.770



No. 4
TmP2O2 after structural relaxation. Source: the Materials Project database, functional PBE-GGA.

* E_form: -148.4 kJ per mole of atoms
* ρ: 2541 kg/m³
* size of the total moment: 0.01 μB/cell

a = 10.077 Å, b = 10.077 Å, c = 10.077 Å
α = 123.06°, β = 123.06°, γ = 84.77°
Element x y z (fractional)
Tm: 0.000 0.000 0.000
Tm: 0.000 0.000 0.500
Tm: 0.000 0.500 0.000
Tm: 0.500 0.000 0.500
P: 0.071 0.181 0.890
P: 0.181 0.071 0.390
P: 0.181 0.791 0.110
P: 0.209 0.819 0.390
P: 0.791 0.181 0.610
P: 0.819 0.209 0.890
P: 0.819 0.929 0.610
P: 0.929 0.819 0.110
O: 0.143 0.187 0.544
O: 0.143 0.599 0.956
O: 0.187 0.143 0.044
O: 0.401 0.857 0.544
O: 0.599 0.143 0.456
O: 0.813 0.857 0.956
O: 0.857 0.401 0.044
O: 0.857 0.813 0.456



No. 5
TmP5O14 after structural relaxation. Source: the Materials Project database, functional PBE-GGA.

* E_form: -273.3 kJ per mole of atoms
* ρ: 3465 kg/m³
* size of the total moment: 0.00 μB/cell

a = 9.162 Å, b = 9.162 Å, c = 12.514 Å
α = 91.07°, β = 91.07°, γ = 89.58°
Element x y z (fractional)
Tm: 0.020 0.980 0.750
Tm: 0.466 0.534 0.750
Tm: 0.534 0.466 0.250
Tm: 0.980 0.020 0.250
P: 0.022 0.682 0.393
P: 0.072 0.578 0.742
P: 0.115 0.175 0.001
P: 0.175 0.115 0.501
P: 0.183 0.450 0.110
P: 0.318 0.978 0.107
P: 0.329 0.625 0.466
P: 0.375 0.671 0.034
P: 0.422 0.928 0.758
P: 0.450 0.183 0.610
P: 0.550 0.817 0.390
P: 0.578 0.072 0.242
P: 0.625 0.329 0.966
P: 0.671 0.375 0.534
P: 0.682 0.022 0.893
P: 0.817 0.550 0.890
P: 0.825 0.885 0.499
P: 0.885 0.825 0.999
P: 0.928 0.422 0.258
P: 0.978 0.318 0.607
O: 0.005 0.483 0.640
O: 0.015 0.141 0.090
O: 0.030 0.479 0.162
O: 0.037 0.782 0.303
O: 0.041 0.733 0.716
O: 0.076 0.145 0.887
O: 0.106 0.279 0.528
O: 0.141 0.015 0.590
O: 0.145 0.076 0.387
O: 0.153 0.349 0.008
O: 0.158 0.674 0.473
O: 0.212 0.602 0.056
O: 0.218 0.963 0.197
O: 0.222 0.526 0.769
O: 0.267 0.959 0.784
O: 0.279 0.106 0.028
O: 0.300 0.395 0.181
O: 0.326 0.842 0.027
O: 0.349 0.153 0.508
O: 0.351 0.534 0.367
O: 0.372 0.577 0.574
O: 0.395 0.300 0.681
O: 0.398 0.788 0.444
O: 0.423 0.628 0.926
O: 0.466 0.649 0.133
O: 0.474 0.778 0.731
O: 0.479 0.030 0.662
O: 0.483 0.005 0.140
O: 0.517 0.995 0.860
O: 0.521 0.970 0.338
O: 0.526 0.222 0.269
O: 0.534 0.351 0.867
O: 0.577 0.372 0.074
O: 0.602 0.212 0.556
O: 0.605 0.700 0.319
O: 0.628 0.423 0.426
O: 0.649 0.466 0.633
O: 0.651 0.847 0.492
O: 0.674 0.158 0.973
O: 0.700 0.605 0.819
O: 0.721 0.894 0.972
O: 0.733 0.041 0.216
O: 0.778 0.474 0.231
O: 0.782 0.037 0.803
O: 0.788 0.398 0.944
O: 0.842 0.326 0.527
O: 0.847 0.651 0.992
O: 0.855 0.924 0.613
O: 0.859 0.985 0.410
O: 0.894 0.721 0.472
O: 0.924 0.855 0.113
O: 0.959 0.267 0.284
O: 0.963 0.218 0.697
O: 0.970 0.521 0.838
O: 0.985 0.859 0.910
O: 0.995 0.517 0.360



No. 6
TmPO4 after structural relaxation. Source: the Materials Project database, functional PBE-GGA.

* E_form: -339.8 kJ per mole of atoms
* ρ: 6180 kg/m³

a = 5.713 Å, b = 5.713 Å, c = 5.713 Å
α = 105.97°, β = 105.97°, γ = 116.72°
Element x y z (fractional)
Tm: 0.375 0.625 0.750
Tm: 0.625 0.375 0.250
P: 0.125 0.875 0.250
P: 0.875 0.125 0.750
O: 0.138 0.712 0.426
O: 0.213 0.288 0.926
O: 0.288 0.213 0.426
O: 0.288 0.862 0.074
O: 0.712 0.138 0.926
O: 0.712 0.787 0.574
O: 0.787 0.712 0.074
O: 0.862 0.288 0.574



No. 7
U2P6O21 after structural relaxation. Source: the Materials Project database, functional PBE-GGA.

* E_form: -185.5 kJ per mole of atoms
* energy above the lowest structure with this stoichiometry: 27.1 meV/atom
* ρ: 3498 kg/m³
* size of the total moment: 4.01 μB/cell

a = 7.044 Å, b = 7.044 Å, c = 19.243 Å
α = 90.51°, β = 90.51°, γ = 97.13°
Element x y z (fractional)
U: 0.066 0.934 0.500
U: 0.115 0.529 0.279
U: 0.529 0.115 0.779
U: 0.934 0.066 0.000
P: 0.054 0.255 0.767
P: 0.255 0.054 0.267
P: 0.280 0.415 0.524
P: 0.406 0.838 0.637
P: 0.415 0.280 0.024
P: 0.484 0.660 0.969
P: 0.595 0.633 0.815
P: 0.633 0.595 0.315
P: 0.660 0.484 0.469
P: 0.689 0.742 0.593
P: 0.742 0.689 0.093
P: 0.838 0.406 0.137
O: 0.008 0.827 0.938
O: 0.037 0.654 0.930
O: 0.051 0.502 0.177
O: 0.094 0.461 0.802
O: 0.111 0.434 0.718
O: 0.120 0.202 0.278
O: 0.139 0.565 0.372
O: 0.144 0.228 0.531
O: 0.159 0.851 0.262
O: 0.202 0.120 0.778
O: 0.214 0.968 0.423
O: 0.228 0.144 0.031
O: 0.300 0.536 0.589
O: 0.303 0.914 0.571
O: 0.343 0.489 0.003
O: 0.424 0.852 0.975
O: 0.434 0.111 0.218
O: 0.435 0.533 0.278
O: 0.461 0.094 0.302
O: 0.475 0.794 0.789
O: 0.489 0.343 0.503
O: 0.502 0.051 0.677
O: 0.512 0.578 0.894
O: 0.533 0.435 0.778
O: 0.536 0.300 0.089
O: 0.565 0.139 0.872
O: 0.578 0.512 0.394
O: 0.584 0.743 0.136
O: 0.646 0.685 0.509
O: 0.654 0.037 0.430
O: 0.685 0.646 0.009
O: 0.702 0.802 0.318
O: 0.743 0.584 0.636
O: 0.794 0.475 0.289
O: 0.802 0.702 0.818
O: 0.827 0.008 0.438
O: 0.851 0.159 0.762
O: 0.852 0.424 0.475
O: 0.865 0.910 0.580
O: 0.910 0.865 0.080
O: 0.914 0.303 0.071
O: 0.968 0.214 0.923



> Look up the E_form of the fifth one.

-273.3 kJ per mole of atoms



> The lowest ρ belongs to which entry?

TmP2O2



> Look up the ρ of the seventh one.

3498 kg/m³



> What is the ρ in the fourth record?

2541 kg/m³